A relaxed CaCO3 crystal. Source: the Materials Project, functional PBE-GGA.

Unit cell a=5.041 b=5.041 c=8.745 alpha=89.35 beta=89.35 gamma=59.60
Fractional coordinates of all 15 atoms:
Ca  0.347  0.323  0.334
Ca  0.017  0.983  0.000
Ca  0.677  0.653  0.666
C  0.689  0.651  0.169
C  0.349  0.311  0.831
C  0.009  0.991  0.500
O  0.609  0.051  0.834
O  0.092  0.310  0.826
O  0.348  0.569  0.833
O  0.431  0.652  0.167
O  0.009  0.733  0.500
O  0.267  0.991  0.500
O  0.690  0.908  0.174
O  0.949  0.391  0.166
O  0.749  0.251  0.500

Results
Energy   -7.484 eV/atom
Magnetization   0.00 μB/atom
Largest piezoelectric modulus   0.2 C/m²
SG   C2
Formation energy from the elements   -1293 kJ/mol of formula units
Calculated density   2.6 g cm⁻³

***

A relaxed MgTi3P3O13 crystal. Source: the Materials Project, functional PBE-GGA.

Unit cell a=6.416 b=7.731 c=10.242 alpha=80.26 beta=90.00 gamma=90.00
Fractional coordinates of all 40 atoms:
Mg  0.750  0.385  0.170
Mg  0.250  0.615  0.830
Ti  0.250  0.648  0.203
Ti  0.750  0.352  0.797
Ti  0.250  0.208  0.432
Ti  0.500  0.000  0.000
Ti  0.750  0.792  0.568
Ti  0.000  0.000  0.000
P  0.250  0.777  0.499
P  0.750  0.223  0.501
P  0.250  0.273  0.760
P  0.750  0.727  0.240
P  0.750  0.679  0.888
P  0.250  0.321  0.112
O  0.750  0.631  0.745
O  0.560  0.254  0.407
O  0.250  0.228  0.621
O  0.545  0.781  0.902
O  0.750  0.344  0.605
O  0.750  0.132  0.901
O  0.250  0.656  0.395
O  0.045  0.219  0.098
O  0.250  0.971  0.422
O  0.750  0.029  0.578
O  0.065  0.394  0.786
O  0.250  0.868  0.099
O  0.565  0.606  0.214
O  0.750  0.492  0.973
O  0.750  0.772  0.379
O  0.455  0.219  0.098
O  0.940  0.254  0.407
O  0.440  0.746  0.593
O  0.435  0.394  0.786
O  0.250  0.369  0.255
O  0.750  0.899  0.136
O  0.250  0.101  0.864
O  0.935  0.606  0.214
O  0.955  0.781  0.902
O  0.060  0.746  0.593
O  0.250  0.508  0.027

Results
Energy   -7.799 eV/atom
Magnetization   0.15 μB/atom
SG   P2_1/m
Formation energy from the elements   -5699 kJ/mol of formula units
Calculated density   3.1 g cm⁻³